1) DFT (GGA-PBE) results for a geometry-optimized MgU2Si2O18 structure.

a = 9.0714 Å, b = 9.0714 Å, c = 6.8030 Å
α = 79.87°, β = 79.87°, γ = 45.08°
With the nearest neighbours (Å) after each atom.
Element x y z (fractional)
Mg1 0.0000 0.0000 0.5000  2 O 1.83
U1 0.2529 0.2529 0.8571  2 O 1.82
U2 0.7471 0.7471 0.1429  2 O 1.82
Si1 0.7931 0.7931 0.6529  4 O 1.59-1.66
Si2 0.2069 0.2069 0.3471  4 O 1.59-1.66
O1 0.3624 0.3624 0.8435  1 U 1.82
O2 0.6376 0.6376 0.1565  1 U 1.82
O3 0.1422 0.1422 0.9099  1 U 1.82
O4 0.8578 0.8578 0.0901  1 U 1.82
O5 0.7468 0.7468 0.4613  1 Si 1.64
O6 0.2532 0.2532 0.5387  1 Si 1.64
O7 0.8892 0.8892 0.5769  1 Si 1.59
O8 0.1108 0.1108 0.4231  1 Si 1.59
O9 0.9387 0.5838 0.8113  1 Si 1.66
O10 0.5838 0.9387 0.8113  1 Si 1.66
O11 0.0613 0.4162 0.1887  1 Si 1.66
O12 0.4162 0.0613 0.1887  1 Si 1.66
O13 0.3278 0.6442 0.3127  1 O 1.29
O14 0.6442 0.3278 0.3127  1 O 1.29
O15 0.6722 0.3558 0.6873  1 O 1.29
O16 0.3558 0.6722 0.6873  1 O 1.29
O17 0.5466 0.5466 0.7310  2 O 1.29
O18 0.4534 0.4534 0.2690  2 O 1.29

Output
- Magnetization: 2.0 μB/f.u.



2) DFT (GGA-PBE) results for a geometry-optimized MgU2Si2O18 structure.

a = 6.9448 Å, b = 7.1485 Å, c = 8.7250 Å
α = 114.18°, β = 111.52°, γ = 90.00°
With the nearest neighbours (Å) after each atom.
Element x y z (fractional)
Mg1 0.0000 0.0000 0.0000  4 O 2.03-2.08
U1 0.6405 0.7535 0.5069  2 O 1.79-1.85
U2 0.3595 0.2465 0.4931  2 O 1.79-1.85
Si1 0.8354 0.2638 0.5277  3 O 1.58-1.60
Si2 0.1646 0.7362 0.4723  3 O 1.58-1.60
O1 0.9738 0.5966 0.1932  2 O 1.34
O2 0.0262 0.4034 0.8068  2 O 1.34
O3 0.7394 0.8804 0.7607  1 U 1.85, 1 Mg 2.03
O4 0.2606 0.1196 0.2393  1 U 1.85, 1 Mg 2.03
O5 0.6903 0.4358 0.5177  1 Si 1.60
O6 0.3097 0.5642 0.4823  1 Si 1.60
O7 0.3097 0.9181 0.4823  1 Si 1.60
O8 0.6903 0.0819 0.5177  1 Si 1.60
O9 0.9711 0.7644 0.5288  1 Si 1.58
O10 0.0289 0.2356 0.4712  1 Si 1.58
O11 0.2056 0.9341 0.8682  1 Mg 2.08
O12 0.7944 0.0659 0.1318  1 Mg 2.08
O13 0.5423 0.6308 0.2616  1 U 1.79
O14 0.4577 0.3692 0.7384  1 U 1.79
O15 0.9041 0.7118 0.1029  1 O 1.34
O16 0.0959 0.2882 0.8971  1 O 1.34
O17 0.0959 0.6089 0.8971  1 O 1.34
O18 0.9041 0.3911 0.1029  1 O 1.34

Output
- Magnetization: 3.1 μB/f.u.



What should be chosen as the least stable of them? Choose 2).



1) DFT (GGA-PBE) results for a geometry-optimized Sm4Tm4MgO12 structure.

a = 5.7567 Å, b = 7.8756 Å, c = 6.2647 Å
α = 90.00°, β = 89.21°, γ = 90.00°
With the nearest neighbours (Å) after each atom.
Element x y z (fractional)
Sm1 0.0048 0.2500 0.1018  6 O 2.29-2.50
Sm2 0.4432 0.7500 0.4457  4 O 2.35-2.42
Sm3 0.4668 0.2500 0.3763  4 O 2.22-2.32
Sm4 0.9508 0.7500 0.0613  6 O 2.43-2.54
Tm1 0.9733 0.9832 0.5541  6 O 2.23-2.44
Tm2 0.9733 0.5168 0.5541  6 O 2.23-2.44
Tm3 0.4665 0.9564 0.9619  6 O 2.24-2.45
Tm4 0.4665 0.5436 0.9619  6 O 2.24-2.45
Mg1 0.6274 0.2500 0.7698  5 O 2.00-2.23
O1 0.1283 0.7500 0.7069  2 Tm 2.26, 2 Sm 2.42-2.43
O2 0.1857 0.5171 0.2384  2 Tm 2.31-2.36, 2 Sm 2.50-2.54
O3 0.1857 0.9829 0.2384  2 Tm 2.31-2.36, 2 Sm 2.50-2.54
O4 0.3695 0.4359 0.6452  1 Mg 2.23, 2 Tm 2.24-2.44, 1 Sm 2.30
O5 0.3695 0.0641 0.6452  1 Mg 2.23, 2 Tm 2.24-2.44, 1 Sm 2.30
O6 0.4142 0.2500 0.0262  1 Mg 2.01, 1 Sm 2.22
O7 0.6462 0.7500 0.7747  2 Tm 2.25, 1 Sm 2.38
O8 0.6998 0.9451 0.2864  2 Tm 2.34-2.45, 2 Sm 2.35-2.53
O9 0.6998 0.5549 0.2864  2 Tm 2.34-2.45, 2 Sm 2.35-2.53
O10 0.8344 0.0634 0.8727  1 Mg 2.00, 1 Tm 2.23
O11 0.8344 0.4366 0.8727  1 Mg 2.00, 1 Tm 2.23
O12 0.8536 0.2500 0.4742  1 Mg 2.25, 2 Tm 2.27, 2 Sm 2.32-2.48

Output
- Magnetization: 0.0 μB/f.u.



2) DFT (GGA-PBE) results for a geometry-optimized Sm4Tm4MgO12 structure.

a = 6.0885 Å, b = 9.0199 Å, c = 5.8429 Å
α = 82.16°, β = 85.60°, γ = 84.48°
With the nearest neighbours (Å) after each atom.
Element x y z (fractional)
Sm1 0.0030 0.1899 0.9814  5 O 2.24-2.45
Sm2 0.4329 0.7350 0.4742  5 O 2.38-2.52
Sm3 0.6200 0.3001 0.5534  5 O 2.27-2.42
Sm4 0.9345 0.7292 0.0172  5 O 2.29-2.43
Tm1 0.8966 0.9495 0.4756  5 O 2.17-2.35
Tm2 0.0559 0.5006 0.5132  5 O 2.20-2.33
Tm3 0.4734 0.9644 0.9240  5 O 2.19-2.32
Tm4 0.5125 0.4995 0.0138  6 O 2.19-2.36
Mg1 0.2843 0.1166 0.4287  3 O 2.04-2.08
O1 0.0372 0.7273 0.6160  2 Tm 2.18-2.20, 1 Sm 2.38
O2 0.2326 0.6093 0.2018  2 Tm 2.19-2.20, 1 Sm 2.29
O3 0.1760 0.9536 0.1741  2 Tm 2.24-2.35, 1 Mg 2.40, 1 Sm 2.45
O4 0.3724 0.4943 0.6775  2 Tm 2.21, 2 Sm 2.35-2.38
O5 0.3141 0.1822 0.7523  1 Mg 2.08, 1 Sm 2.24, 1 Tm 2.25
O6 0.4399 0.2850 0.2320  1 Mg 2.04, 1 Tm 2.23, 1 Sm 2.27
O7 0.5879 0.7376 0.8346  2 Tm 2.21-2.33, 2 Sm 2.38-2.43
O8 0.6929 0.8779 0.2297  2 Tm 2.17-2.32, 2 Sm 2.30-2.40
O9 0.7512 0.5439 0.2864  2 Tm 2.33, 1 Sm 2.43
O10 0.7835 0.0591 0.7898  2 Tm 2.19-2.23, 1 Sm 2.31
O11 0.8325 0.4078 0.8046  2 Tm 2.22-2.36, 2 Sm 2.29-2.39
O12 0.9628 0.1996 0.3739  1 Mg 2.06, 1 Sm 2.30

Output
- Magnetization: 0.0 μB/f.u.



What should be chosen as the least stable of them? Choose 1).



1) DFT (GGA-PBE) results for a geometry-optimized Sm4Tm4MgO12 structure.

a = 6.1467 Å, b = 8.4489 Å, c = 5.7655 Å
α = 90.00°, β = 88.44°, γ = 90.00°
With the nearest neighbours (Å) after each atom.
Element x y z (fractional)
Sm1 0.1552 0.2500 0.9368  3 O 2.32-2.47
Sm2 0.4262 0.7500 0.4772  4 O 2.31-2.47
Sm3 0.5583 0.2500 0.5624  3 O 2.25-2.40
Sm4 0.9383 0.7500 0.0286  6 O 2.33-2.56
Tm1 0.9894 0.9999 0.4999  6 O 2.24-2.33
Tm2 0.9894 0.5001 0.4999  6 O 2.24-2.33
Tm3 0.4874 0.9771 0.9930  5 O 2.16-2.32
Tm4 0.4874 0.5229 0.9930  5 O 2.16-2.32
Mg1 0.7356 0.2500 0.0698  4 O 1.96-2.04
O1 0.0501 0.7500 0.6377  2 Tm 2.29, 2 Sm 2.34-2.47
O2 0.1895 0.5786 0.1903  2 Tm 2.18-2.24, 1 Sm 2.33
O3 0.1895 0.9214 0.1903  2 Tm 2.18-2.24, 1 Sm 2.33
O4 0.3052 0.4547 0.6724  2 Tm 2.24-2.26, 2 Sm 2.40-2.47
O5 0.3052 0.0453 0.6724  2 Tm 2.24-2.26, 2 Sm 2.40-2.47
O6 0.4369 0.2500 0.1977  1 Mg 1.96
O7 0.5698 0.7500 0.8441  2 Tm 2.16, 1 Sm 2.31
O8 0.6941 0.9208 0.2948  2 Tm 2.23-2.29, 1 Sm 2.41
O9 0.6941 0.5792 0.2948  2 Tm 2.23-2.29, 1 Sm 2.41
O10 0.8077 0.0784 0.8299  1 Mg 2.04, 1 Tm 2.28
O11 0.8077 0.4216 0.8299  1 Mg 2.04, 1 Tm 2.28
O12 0.9221 0.2500 0.3479  1 Mg 2.00

Output
- Magnetization: 0.0 μB/f.u.



2) DFT (GGA-PBE) results for a geometry-optimized Sm4Tm4MgO12 structure.

a = 6.2154 Å, b = 8.5864 Å, c = 5.7583 Å
α = 90.89°, β = 90.17°, γ = 86.50°
With the nearest neighbours (Å) after each atom.
Element x y z (fractional)
Sm1 0.0646 0.2330 0.9524  5 O 2.30-2.56
Sm2 0.4550 0.7635 0.4676  4 O 2.26-2.37
Sm3 0.5924 0.2904 0.5067  5 O 2.27-2.51
Sm4 0.8543 0.6867 0.0123  5 O 2.29-2.52
Tm1 0.0041 0.9985 0.4619  4 O 2.18-2.30
Tm2 0.0189 0.5069 0.5018  5 O 2.17-2.40
Tm3 0.5746 0.0289 0.0101  5 O 2.18-2.35
Tm4 0.4644 0.4907 0.9999  5 O 2.16-2.41
Mg1 0.2081 0.8601 0.9303  4 O 2.01-2.09
O1 0.0823 0.7406 0.6480  1 Mg 2.08, 1 Tm 2.22
O2 0.1820 0.5886 0.1868  2 Tm 2.18-2.22, 1 Sm 2.38
O3 0.2916 0.9480 0.2411  1 Mg 2.01, 1 Tm 2.21
O4 0.2885 0.4039 0.6992  2 Tm 2.17-2.19, 1 Sm 2.35
O5 0.2864 0.0455 0.7464  1 Mg 2.01
O6 0.4513 0.2579 0.1355  2 Tm 2.16-2.18, 1 Sm 2.33
O7 0.5170 0.7576 0.8741  1 Mg 2.09, 1 Sm 2.29
O8 0.7281 0.8909 0.3086  2 Tm 2.18-2.28, 1 Sm 2.28
O9 0.6718 0.5487 0.3212  2 Tm 2.32-2.40, 3 Sm 2.36-2.55
O10 0.7805 0.1185 0.7367  2 Tm 2.21-2.30, 2 Sm 2.27-2.41
O11 0.7992 0.4462 0.7941  2 Tm 2.26-2.41, 2 Sm 2.44-2.51
O12 0.9454 0.2466 0.3297  2 Tm 2.28-2.50, 2 Sm 2.30-2.43

Output
- Magnetization: 0.0 μB/f.u.



What should be chosen as the least stable of them? Choose 1).